Record 1
Computed, not measured: a relaxed structure of Li3Ni5O10 at the PBE with a Hubbard U level of DFT.

## Properties
Distance to the lowest polymorph of the same formula   0.04 eV/f.u.
Formation energy   -22.4 eV/f.u.
Space group   P-1 (2)
Total magnetization   3.00 μB per formula unit

Cell: 4.991 5.850 6.494 Å, 105.39 83.05 73.96°
Element x y z (fractional)
1 O 0.319 0.670 0.886
2 O 0.095 0.081 0.284
3 O 0.105 0.519 0.315
4 O 0.534 0.719 0.511
5 O 0.667 0.881 0.089
6 O 0.868 0.473 0.683
7 O 0.523 0.259 0.472
8 O 0.332 0.127 0.917
9 O 0.881 0.930 0.715
10 O 0.677 0.341 0.128
11 Li 0.600 0.300 0.800
12 Li 0.802 0.902 0.405
13 Li 0.398 0.698 0.195
14 Ni 0.802 0.399 0.399
15 Ni 0.398 0.201 0.201
16 Ni 0.201 0.594 0.606
17 Ni 0.999 0.006 0.994
18 Ni 0.600 0.800 0.800


Record 2
Computed, not measured: a relaxed structure of Sr4Mn3Cl2O8 at the PBE with a Hubbard U level of DFT.

## Properties
Formation energy   -43.3 eV/f.u.
Space group   I4/mmm (139)

Cell: 3.920 3.920 16.672 Å, 96.75 96.75 90.00°
Element x y z (fractional)
1 Mn 0.880 0.880 0.761
2 Mn 0.120 0.120 0.239
3 Mn 0.000 0.000 0.000
4 Cl 0.215 0.215 0.429
5 Cl 0.785 0.785 0.571
6 O 0.371 0.871 0.742
7 O 0.000 0.500 0.000
8 O 0.129 0.629 0.258
9 O 0.500 0.000 0.000
10 O 0.940 0.940 0.880
11 O 0.060 0.060 0.120
12 O 0.871 0.371 0.742
13 O 0.629 0.129 0.258
14 Sr 0.322 0.322 0.644
15 Sr 0.443 0.443 0.886
16 Sr 0.678 0.678 0.356
17 Sr 0.557 0.557 0.114


Record 3
Computed, not measured: a relaxed structure of MnB2O4 at the PBE with a Hubbard U level of DFT.

## Properties
Formation energy   -18.3 eV/f.u.
Space group   P2_1/c (14)
Total magnetization   5.00 μB per formula unit

Cell: 7.548 7.179 8.888 Å, 85.93 90.00 90.00°
Element x y z (fractional)
1 B 0.433 0.818 0.138
2 B 0.564 0.794 0.869
3 B 0.101 0.698 0.120
4 B 0.902 0.688 0.884
5 B 0.933 0.182 0.362
6 B 0.601 0.302 0.380
7 B 0.402 0.312 0.616
8 B 0.567 0.182 0.862
9 B 0.936 0.794 0.369
10 B 0.899 0.302 0.880
11 B 0.598 0.688 0.384
12 B 0.399 0.698 0.620
13 B 0.067 0.818 0.638
14 B 0.436 0.206 0.131
15 B 0.098 0.312 0.116
16 B 0.064 0.206 0.631
17 O 0.558 0.740 0.031
18 O 0.438 0.703 0.286
19 O 0.657 0.489 0.422
20 O 0.058 0.260 0.469
21 O 0.843 0.489 0.922
22 O 0.004 0.010 0.672
23 O 0.248 0.832 0.083
24 O 0.752 0.778 0.307
25 O 0.558 0.770 0.531
26 O 0.942 0.740 0.531
27 O 0.062 0.703 0.786
28 O 0.252 0.222 0.193
29 O 0.562 0.297 0.714
30 O 0.752 0.168 0.917
31 O 0.442 0.230 0.469
32 O 0.748 0.168 0.417
33 O 0.058 0.230 0.969
34 O 0.938 0.297 0.214
35 O 0.504 0.990 0.828
36 O 0.996 0.990 0.328
37 O 0.443 0.676 0.783
38 O 0.942 0.770 0.031
39 O 0.943 0.324 0.717
40 O 0.343 0.511 0.578
41 O 0.496 0.010 0.172
42 O 0.748 0.778 0.807
43 O 0.248 0.222 0.693
44 O 0.442 0.260 0.969
45 O 0.057 0.676 0.283
46 O 0.252 0.832 0.583
47 O 0.157 0.511 0.078
48 O 0.557 0.324 0.217
49 Mn 0.713 0.003 0.626
50 Mn 0.213 0.997 0.874
51 Mn 0.744 0.532 0.144
52 Mn 0.256 0.468 0.856
53 Mn 0.244 0.468 0.356
54 Mn 0.787 0.003 0.126
55 Mn 0.287 0.997 0.374
56 Mn 0.756 0.532 0.644


Record 4
Computed, not measured: a relaxed structure of BaPrMgMn2O5 at the PBE with a Hubbard U level of DFT.

## Properties
Distance to the lowest polymorph of the same formula   0.45 eV/f.u.
Formation energy   -23.2 eV/f.u.
Space group   Pmm2 (25)
Total magnetization   9.29 μB per formula unit

Cell: 4.113 4.079 10.814 Å, 90.00 90.00 90.00°
Element x y z (fractional)
1 Mn 0.500 0.500 0.191
2 Mn 0.500 0.500 0.837
3 O 0.500 0.000 0.893
4 O 0.000 0.500 0.805
5 O 0.000 0.500 0.111
6 O 0.500 0.000 0.180
7 O 0.500 0.500 0.391
8 Ba 0.000 0.000 0.658
9 Mg 0.500 0.000 0.365
10 Pr 0.000 0.000 0.019


Record 5
Computed, not measured: a relaxed structure of Cs3NdCr3O12 at the PBE with a Hubbard U level of DFT.

## Properties
Formation energy   -42.6 eV/f.u.
Space group   C2/c (15)
Total magnetization   0.09 μB per formula unit

Cell: 10.567 10.579 15.245 Å, 105.78 110.28 90.00°
Element x y z (fractional)
1 Cr 0.667 0.145 0.542
2 Cr 0.125 0.355 0.458
3 Cr 0.059 0.114 0.764
4 Cr 0.295 0.386 0.236
5 Cr 0.941 0.886 0.236
6 Cr 0.776 0.442 0.157
7 Cr 0.381 0.942 0.157
8 Cr 0.875 0.645 0.542
9 Cr 0.333 0.855 0.458
10 Cr 0.619 0.058 0.843
11 Cr 0.705 0.614 0.764
12 Cr 0.224 0.558 0.843
13 Cs 0.414 0.250 0.000
14 Cs 0.974 0.148 0.112
15 Cs 0.500 0.500 0.500
16 Cs 0.607 0.734 0.308
17 Cs 0.026 0.852 0.888
18 Cs 0.137 0.648 0.112
19 Cs 0.393 0.266 0.692
20 Cs 0.586 0.750 0.000
21 Cs 0.863 0.352 0.888
22 Cs 0.299 0.766 0.692
23 Cs 0.000 0.000 0.500
24 Cs 0.701 0.234 0.308
25 O 0.907 0.858 0.119
26 O 0.543 0.573 0.737
27 O 0.777 0.043 0.841
28 O 0.797 0.236 0.544
29 O 0.203 0.764 0.456
30 O 0.948 0.685 0.471
31 O 0.817 0.487 0.503
32 O 0.480 0.017 0.274
33 O 0.183 0.513 0.497
34 O 0.933 0.989 0.701
35 O 0.987 0.663 0.654
36 O 0.232 0.511 0.299
37 O 0.412 0.013 0.083
38 O 0.212 0.358 0.119
39 O 0.253 0.264 0.456
40 O 0.936 0.457 0.159
41 O 0.329 0.487 0.917
42 O 0.794 0.517 0.274
43 O 0.404 0.784 0.128
44 O 0.667 0.163 0.654
45 O 0.523 0.185 0.471
46 O 0.093 0.142 0.881
47 O 0.194 0.073 0.737
48 O 0.013 0.337 0.346
49 O 0.806 0.927 0.263
50 O 0.067 0.011 0.299
51 O 0.007 0.251 0.731
52 O 0.457 0.427 0.263
53 O 0.333 0.837 0.346
54 O 0.596 0.216 0.872
55 O 0.724 0.751 0.731
56 O 0.686 0.987 0.503
57 O 0.588 0.987 0.917
58 O 0.768 0.489 0.701
59 O 0.993 0.749 0.269
60 O 0.788 0.642 0.881
61 O 0.723 0.284 0.128
62 O 0.477 0.815 0.529
63 O 0.314 0.013 0.497
64 O 0.671 0.513 0.083
65 O 0.276 0.249 0.269
66 O 0.064 0.543 0.841
67 O 0.747 0.736 0.544
68 O 0.223 0.957 0.159
69 O 0.277 0.716 0.872
70 O 0.052 0.315 0.529
71 O 0.206 0.483 0.726
72 O 0.520 0.983 0.726
73 Nd 0.696 0.926 0.658
74 Nd 0.304 0.074 0.342
75 Nd 0.038 0.574 0.342
76 Nd 0.962 0.426 0.658


Record 6
Computed, not measured: a relaxed structure of Mn2OF3 at the PBE with a Hubbard U level of DFT.

## Properties
Distance to the lowest polymorph of the same formula   0.05 eV/f.u.
Formation energy   -15.8 eV/f.u.
Space group   Amm2 (38)
Total magnetization   9.00 μB per formula unit

Cell: 4.880 4.880 15.853 Å, 90.00 90.00 92.49°
Element x y z (fractional)
1 O 0.664 0.664 0.200
2 O 0.323 0.323 0.400
3 O 0.664 0.664 0.800
4 O 0.335 0.335 0.000
5 O 0.323 0.323 0.600
6 F 0.196 0.792 0.700
7 F 0.209 0.819 0.500
8 F 0.796 0.203 0.900
9 F 0.719 0.719 0.000
10 F 0.792 0.196 0.700
11 F 0.792 0.196 0.300
12 F 0.203 0.796 0.100
13 F 0.196 0.792 0.300
14 F 0.819 0.209 0.500
15 F 0.203 0.796 0.900
16 F 0.708 0.708 0.596
17 F 0.278 0.278 0.801
18 F 0.278 0.278 0.199
19 F 0.796 0.203 0.100
20 F 0.708 0.708 0.404
21 Mn 0.500 0.500 0.900
22 Mn 0.962 0.962 0.801
23 Mn 0.027 0.027 0.400
24 Mn 0.493 0.493 0.700
25 Mn 0.498 0.498 0.500
26 Mn 0.500 0.500 0.100
27 Mn 0.027 0.027 0.600
28 Mn 0.036 0.036 0.000
29 Mn 0.962 0.962 0.199
30 Mn 0.493 0.493 0.300


Record 7
Computed, not measured: a relaxed structure of NaYSnWO6 at the PBE with a Hubbard U level of DFT.

## Properties
Formation energy   -24.3 eV/f.u.
Space group   F-43m (216)
Total magnetization   0.00 μB per formula unit

Cell: 5.902 5.902 5.902 Å, 60.00 60.00 60.00°
Element x y z (fractional)
1 O 0.767 0.767 0.233
2 O 0.233 0.767 0.233
3 O 0.767 0.233 0.767
4 O 0.767 0.233 0.233
5 O 0.233 0.233 0.767
6 O 0.233 0.767 0.767
7 Y 0.500 0.500 0.500
8 Sn 0.250 0.250 0.250
9 W 0.000 0.000 0.000
10 Na 0.750 0.750 0.750


Record 8
Computed, not measured: a relaxed structure of V4OF11 at the PBE with a Hubbard U level of DFT.

## Properties
Distance to the lowest polymorph of the same formula   0.00 eV/f.u.
Formation energy   -50.1 eV/f.u.
Space group   C2 (5)

Cell: 5.230 5.461 17.551 Å, 91.12 98.57 61.39°
Element x y z (fractional)
1 F 0.428 0.589 0.840
2 F 0.524 0.938 0.188
3 F 0.573 0.913 0.661
4 F 0.979 0.812 0.562
5 F 0.427 0.286 0.535
6 F 0.080 0.673 0.412
7 F 0.575 0.412 0.162
8 F 0.479 0.063 0.813
9 F 0.022 0.689 0.937
10 F 0.921 0.033 0.288
11 F 0.474 0.559 0.314
12 F 0.075 0.463 0.213
13 F 0.927 0.339 0.588
14 F 0.968 0.316 0.061
15 F 0.024 0.186 0.438
16 F 0.072 0.161 0.912
17 F 0.916 0.842 0.087
18 F 0.929 0.536 0.787
19 F 0.592 0.202 0.963
20 F 0.522 0.438 0.688
21 F 0.571 0.714 0.463
22 F 0.075 0.962 0.714
23 V 0.495 0.247 0.252
24 V 0.502 0.749 0.750
25 V 0.002 0.504 0.498
26 V 0.035 0.982 0.003
27 V 0.257 0.371 0.877
28 V 0.264 0.893 0.372
29 V 0.740 0.628 0.123
30 V 0.751 0.126 0.625
31 O 0.395 0.801 0.039
32 O 0.407 0.074 0.336


We obtain MP2020-corrected energy values of -5.9162, -7.1060, -8.6584, -7.4583, -7.2847, -7.4662, -7.8759, -7.0270 eV per atom for the records listed above, in that order.
We obtain V values of 171.8, 252.6, 60.1, 181.4, 382.5, 75.4, 145.4, 217.2 Å³/f.u. for the records listed above, in that order.
We obtain uncorrected energy values of -86.9, -110.3, -449.5, -67.8, -496.7, -196.9, -70.2, -199.7 eV for the cell shown for the records listed above, in that order.